The following is a DFT calculation (PBE+U) of a relaxed Li10Fe3Sb7O24 crystal.

Cell and atoms, written as CIF:
```
data_Li10Fe3Sb7O24
_chemical_formula_sum 'Li10 Fe3 Sb7 O24'
_cell_length_a 5.2602
_cell_length_b 9.5938
_cell_length_c 10.2160
_cell_angle_alpha 90.55
_cell_angle_beta 90.46
_cell_angle_gamma 90.70
_symmetry_space_group_name_H-M 'P 1'
_symmetry_Int_Tables_number 1
loop_
_symmetry_equiv_pos_as_xyz
'x,y,z'
loop_
_atom_site_label
_atom_site_type_symbol
_atom_site_fract_x
_atom_site_fract_y
_atom_site_fract_z
Li1 Li 0.0000 0.0000 0.0000
Li2 Li 0.0072 0.2954 0.8289
Li3 Li 0.0399 0.0111 0.6033
Li4 Li 0.0828 0.4526 0.0419
Li5 Li 0.4766 0.4513 0.5154
Li6 Li 0.4850 0.2116 0.3548
Li7 Li 0.5397 0.0149 0.1226
Li8 Li 0.5937 0.9985 0.4837
Li9 Li 0.6106 0.6966 0.3755
Li10 Li 0.9597 0.6743 0.8815
Fe1 Fe 0.0408 0.1810 0.2822
Fe2 Fe 0.0600 0.5136 0.2977
Fe3 Fe 0.4944 0.5053 0.7899
Sb1 Sb 0.0226 0.6909 0.5736
Sb2 Sb 0.0816 0.8631 0.2962
Sb3 Sb 0.5014 0.8383 0.8080
Sb4 Sb 0.5120 0.1571 0.7878
Sb5 Sb 0.5645 0.6832 0.0782
Sb6 Sb 0.5816 0.3417 0.0694
Sb7 Sb 0.9755 0.3372 0.5545
O1 O 0.1212 0.1984 0.6711
O2 O 0.2275 0.4967 0.6515
O3 O 0.2331 0.3486 0.4115
O4 O 0.2428 0.6939 0.3918
O5 O 0.2493 0.8463 0.6656
O6 O 0.2761 0.0147 0.3833
O7 O 0.3201 0.6792 0.9143
O8 O 0.3283 0.3678 0.9173
O9 O 0.3393 0.9994 0.9036
O10 O 0.3586 0.8317 0.1596
O11 O 0.3801 0.5159 0.1534
O12 O 0.3940 0.2027 0.1668
O13 O 0.6871 0.6742 0.7375
O14 O 0.7171 0.9816 0.7212
O15 O 0.7244 0.3767 0.7019
O16 O 0.7501 0.5234 0.9757
O17 O 0.7507 0.8220 0.9656
O18 O 0.7637 0.2054 0.9509
O19 O 0.7873 0.1912 0.4513
O20 O 0.8100 0.5038 0.4599
O21 O 0.8339 0.8490 0.4461
O22 O 0.8370 0.6902 0.2166
O23 O 0.8858 0.3578 0.1825
O24 O 0.9039 0.9992 0.1869
```


The following is a DFT calculation (PBE+U) of a relaxed ZnFeAs4Pb4O18 crystal.

Cell and atoms, written as CIF:
```
data_ZnFeAs4Pb4O18
_chemical_formula_sum 'Zn1 Fe1 As4 Pb4 O18'
_cell_length_a 6.0401
_cell_length_b 8.0672
_cell_length_c 9.0368
_cell_angle_alpha 113.05
_cell_angle_beta 90.29
_cell_angle_gamma 90.59
_symmetry_space_group_name_H-M 'P 1'
_symmetry_Int_Tables_number 1
loop_
_symmetry_equiv_pos_as_xyz
'x,y,z'
loop_
_atom_site_label
_atom_site_type_symbol
_atom_site_fract_x
_atom_site_fract_y
_atom_site_fract_z
Zn1 Zn 0.0000 0.0000 0.0000
Fe1 Fe 0.5000 0.0000 0.0000
As1 As 0.2465 0.9802 0.6597
As2 As 0.2562 0.5686 0.8315
As3 As 0.7438 0.4314 0.1685
As4 As 0.7535 0.0198 0.3403
Pb1 Pb 0.2473 0.6953 0.2493
Pb2 Pb 0.2525 0.2795 0.3752
Pb3 Pb 0.7475 0.7205 0.6248
Pb4 Pb 0.7527 0.3047 0.7507
O1 O 0.0034 0.0155 0.7711
O2 O 0.0186 0.5068 0.7132
O3 O 0.2490 0.7537 0.5350
O4 O 0.2515 0.4806 0.9761
O5 O 0.2558 0.1177 0.5592
O6 O 0.2598 0.8031 0.9252
O7 O 0.2706 0.1528 0.0795
O8 O 0.4832 0.4969 0.7072
O9 O 0.4865 0.0197 0.7800
O10 O 0.5135 0.9803 0.2200
O11 O 0.5168 0.5031 0.2928
O12 O 0.7294 0.8472 0.9205
O13 O 0.7402 0.1969 0.0748
O14 O 0.7442 0.8823 0.4408
O15 O 0.7485 0.5194 0.0239
O16 O 0.7510 0.2463 0.4650
O17 O 0.9814 0.4932 0.2868
O18 O 0.9966 0.9845 0.2289
```


The following is a DFT calculation (PBE+U) of a relaxed Li9Mn2Co5O16 crystal.

Cell and atoms, written as CIF:
```
data_Li9Mn2Co5O16
_chemical_formula_sum 'Li9 Mn2 Co5 O16'
_cell_length_a 3.0174
_cell_length_b 5.9889
_cell_length_c 16.0805
_cell_angle_alpha 90.63
_cell_angle_beta 90.98
_cell_angle_gamma 95.01
_symmetry_space_group_name_H-M 'P 1'
_symmetry_Int_Tables_number 1
loop_
_symmetry_equiv_pos_as_xyz
'x,y,z'
loop_
_atom_site_label
_atom_site_type_symbol
_atom_site_fract_x
_atom_site_fract_y
_atom_site_fract_z
Li1 Li 0.0000 0.0000 0.0000
Li2 Li 0.0000 0.0000 0.5000
Li3 Li 0.0000 0.5000 0.0000
Li4 Li 0.0016 0.4999 0.2491
Li5 Li 0.4973 0.7435 0.8780
Li6 Li 0.5000 0.2518 0.6237
Li7 Li 0.5000 0.7482 0.3763
Li8 Li 0.5027 0.2565 0.1220
Li9 Li 0.9984 0.5001 0.7509
Mn1 Mn 0.0014 0.0006 0.2491
Mn2 Mn 0.9986 0.9994 0.7509
Co1 Co 0.0000 0.5000 0.5000
Co2 Co 0.4951 0.2625 0.8805
Co3 Co 0.4979 0.2522 0.3757
Co4 Co 0.5021 0.7478 0.6243
Co5 Co 0.5049 0.7375 0.1195
O1 O 0.0203 0.5180 0.1247
O2 O 0.0228 0.0119 0.8716
O3 O 0.0235 0.5118 0.6191
O4 O 0.0247 0.0113 0.3712
O5 O 0.4766 0.7357 0.5056
O6 O 0.4779 0.2426 0.7595
O7 O 0.4787 0.2435 0.2562
O8 O 0.4955 0.7531 0.0118
O9 O 0.5045 0.2469 0.9882
O10 O 0.5213 0.7565 0.7438
O11 O 0.5221 0.7574 0.2405
O12 O 0.5234 0.2643 0.4944
O13 O 0.9753 0.9887 0.6288
O14 O 0.9765 0.4882 0.3809
O15 O 0.9772 0.9881 0.1284
O16 O 0.9797 0.4820 0.8753
```


The following is a DFT calculation (PBE+U) of a relaxed SrLa3Ni2O8 crystal.

Cell and atoms, written as CIF:
```
data_SrLa3Ni2O8
_chemical_formula_sum 'Sr1 La3 Ni2 O8'
_cell_length_a 5.4560
_cell_length_b 6.9138
_cell_length_c 6.9138
_cell_angle_alpha 46.34
_cell_angle_beta 90.00
_cell_angle_gamma 90.00
_symmetry_space_group_name_H-M 'P 1'
_symmetry_Int_Tables_number 1
loop_
_symmetry_equiv_pos_as_xyz
'x,y,z'
loop_
_atom_site_label
_atom_site_type_symbol
_atom_site_fract_x
_atom_site_fract_y
_atom_site_fract_z
Sr1 Sr 0.0000 0.0000 0.0000
La1 La 0.0000 0.2794 0.2794
La2 La 0.5000 0.5041 0.5041
La3 La 0.5000 0.7825 0.7825
Ni1 Ni 0.0000 0.6388 0.6388
Ni2 Ni 0.5000 0.1371 0.1371
O1 O 0.0000 0.4669 0.4669
O2 O 0.0000 0.8064 0.8064
O3 O 0.2580 0.3930 0.8973
O4 O 0.2580 0.8973 0.3930
O5 O 0.5000 0.3218 0.3218
O6 O 0.5000 0.9660 0.9660
O7 O 0.7420 0.3930 0.8973
O8 O 0.7420 0.8973 0.3930
```


| no. | energy relative to the elements (eV/atom) |
| --- | --- |
| 1 | -1.9660 |
| 2 | -1.5893 |
| 3 | -1.7765 |
| 4 | -2.8806 |